[1]
First-principles (PBE-GGA) data for a relaxed structure of K2Tc, as listed in the Materials Project.

Structure (POSCAR):
```
K2Tc
1.0
-4.7616 1.2557 -0.6719
-0.1577 4.0487 8.6846
2.4949 5.3272 -7.7257
K Tc
6 3
Direct
0.5000 0.7416 0.7413
0.0000 0.9998 0.5882
0.0000 0.5900 0.0000
0.0000 0.4116 0.4118
0.5000 0.0004 0.2587
0.5000 0.2576 0.0000
0.5000 0.3323 0.6643
0.5000 0.6680 0.3357
0.0000 0.9986 0.0000
```

## Properties
Energy   -23.57 eV for the cell shown
Calculated formation energy   1575 meV/atom
Relative energy among the computed polymorphs   171 meV/atom
Space group   Amm2, No. 38

[2]
First-principles (PBE-GGA) data for a relaxed structure of K2Tc, as listed in the Materials Project.

Structure (POSCAR):
```
K2Tc
1.0
0.0000 0.0000 -4.9448
-4.8688 -8.4330 0.0000
-4.8688 8.4330 0.0000
Tc K
3 6
Direct
0.5000 0.3333 0.6667
0.0000 0.0000 0.0000
0.5000 0.6667 0.3333
0.5000 0.2586 0.2586
0.0000 0.0000 0.4092
0.5000 0.0000 0.7414
0.0000 0.5908 0.5908
0.5000 0.7414 0.0000
0.0000 0.4092 0.0000
```

## Properties
Energy   -23.59 eV for the cell shown
Calculated formation energy   1572 meV/atom
Relative energy among the computed polymorphs   168 meV/atom
Space group   P-62m, No. 189

[3]
First-principles (PBE-GGA) data for a relaxed structure of K2Tc, as listed in the Materials Project.

Structure (POSCAR):
```
K2Tc
1.0
-5.0316 9.1380 2.5999
-3.4202 -9.2965 4.1783
1.7552 0.3415 2.1966
K Tc
6 3
Direct
0.6502 0.0014 0.0000
0.0014 0.6502 0.0000
0.0012 0.3123 0.5000
0.3535 0.3535 0.0000
0.3123 0.0012 0.5000
0.6831 0.6831 0.5000
0.3348 0.6683 0.5000
0.9952 0.9952 0.0000
0.6683 0.3348 0.5000
```

## Properties
Energy   -25.11 eV for the cell shown
Calculated formation energy   1404 meV/atom
Relative energy among the computed polymorphs   0 meV/atom
Space group   Amm2, No. 38